The following is a DFT calculation (GGA-PBE) of a geometry-optimized LuNi2B2C structure.

a b c (Å): 5.815 5.815 5.815
angles (deg): 145.32 145.32 49.86
Fractional coordinates of all 6 atoms:
Lu: 0.000 0.000 0.000
Ni: 0.250 0.750 0.500
Ni: 0.750 0.250 0.500
B: 0.359 0.359 0.000
B: 0.641 0.641 0.000
C: 0.500 0.500 0.000

The energy relative to the elements comes out at -0.52 eV/atom. Its crystal system is tetragonal.

=====

The following is a DFT calculation (GGA-PBE) of a geometry-optimized LuNiBC structure.

a b c (Å): 3.499 3.499 7.541
angles (deg): 90.00 90.00 90.00
Fractional coordinates of all 8 atoms:
Lu: 0.250 0.250 0.161
Lu: 0.750 0.750 0.839
Ni: 0.250 0.750 0.500
Ni: 0.750 0.250 0.500
B: 0.250 0.250 0.651
B: 0.750 0.750 0.349
C: 0.250 0.250 0.849
C: 0.750 0.750 0.151

The energy relative to the elements comes out at -0.57 eV/atom. Its crystal system is tetragonal.

=====

The following is a DFT calculation (GGA-PBE) of a geometry-optimized Lu2Si9B36C structure.

a b c (Å): 8.024 8.024 7.989
angles (deg): 101.94 101.94 78.05
Fractional coordinates of all 48 atoms:
Lu: 0.250 0.750 0.000
Lu: 0.750 0.250 0.000
Si: 0.012 0.012 0.840
Si: 0.016 0.405 0.246
Si: 0.095 0.484 0.756
Si: 0.178 0.178 0.073
Si: 0.320 0.320 0.929
Si: 0.405 0.016 0.246
Si: 0.484 0.095 0.756
Si: 0.487 0.487 0.160
Si: 0.794 0.794 0.458
B: 0.046 0.756 0.495
B: 0.124 0.769 0.303
B: 0.124 0.951 0.481
B: 0.169 0.570 0.394
B: 0.171 0.857 0.677
B: 0.195 0.623 0.626
B: 0.312 0.872 0.378
B: 0.337 0.642 0.328
B: 0.338 0.925 0.608
B: 0.377 0.728 0.701
B: 0.378 0.545 0.523
B: 0.473 0.732 0.518
B: 0.545 0.378 0.523
B: 0.548 0.729 0.872
B: 0.569 0.859 0.082
B: 0.570 0.169 0.394
B: 0.623 0.195 0.626
B: 0.624 0.624 0.056
B: 0.640 0.926 0.911
B: 0.642 0.337 0.328
B: 0.728 0.377 0.701
B: 0.729 0.548 0.872
B: 0.732 0.473 0.518
B: 0.732 0.732 0.776
B: 0.755 0.755 0.206
B: 0.756 0.046 0.495
B: 0.768 0.948 0.126
B: 0.769 0.124 0.303
B: 0.857 0.171 0.677
B: 0.859 0.569 0.082
B: 0.872 0.312 0.378
B: 0.872 0.872 0.937
B: 0.925 0.338 0.608
B: 0.926 0.640 0.911
B: 0.948 0.768 0.126
B: 0.951 0.124 0.481
C: 0.682 0.682 0.567

The energy relative to the elements comes out at -0.20 eV/atom. Its crystal system is monoclinic.

=====

The following is a DFT calculation (GGA-PBE) of a geometry-optimized MgB2C2 structure.

a b c (Å): 7.228 7.228 7.462
angles (deg): 90.00 90.00 81.82
Fractional coordinates of all 40 atoms:
Mg: 0.152 0.152 0.500
Mg: 0.221 0.779 0.990
Mg: 0.279 0.721 0.490
Mg: 0.348 0.348 0.000
Mg: 0.652 0.652 0.000
Mg: 0.721 0.279 0.510
Mg: 0.779 0.221 0.010
Mg: 0.848 0.848 0.500
B: 0.032 0.713 0.245
B: 0.088 0.912 0.725
B: 0.156 0.344 0.250
B: 0.213 0.532 0.745
B: 0.287 0.968 0.245
B: 0.344 0.156 0.750
B: 0.412 0.588 0.225
B: 0.468 0.787 0.745
B: 0.532 0.213 0.255
B: 0.588 0.412 0.775
B: 0.656 0.844 0.250
B: 0.713 0.032 0.755
B: 0.787 0.468 0.255
B: 0.844 0.656 0.750
B: 0.912 0.088 0.275
B: 0.968 0.287 0.755
C: 0.050 0.701 0.725
C: 0.080 0.920 0.269
C: 0.176 0.324 0.750
C: 0.201 0.550 0.225
C: 0.299 0.950 0.725
C: 0.324 0.176 0.250
C: 0.420 0.580 0.769
C: 0.450 0.799 0.225
C: 0.550 0.201 0.775
C: 0.580 0.420 0.231
C: 0.676 0.824 0.750
C: 0.701 0.050 0.275
C: 0.799 0.450 0.775
C: 0.824 0.676 0.250
C: 0.920 0.080 0.731
C: 0.950 0.299 0.275

The energy relative to the elements comes out at -0.15 eV/atom. Its crystal system is orthorhombic.